(a)
A relaxed Sr8MgP4I4O16 crystal, computed with PBE.

a = 8.6770 Å, b = 9.0504 Å, c = 9.8077 Å
α = 88.64°, β = 114.48°, γ = 90.23°
Element x y z (fractional)
P: 0.2400 0.5458 0.0388
P: 0.2511 0.0491 0.9517
P: 0.7537 0.4453 0.9528
P: 0.7437 0.9424 0.0411
O: 0.8272 0.3324 0.8779
O: 0.2143 0.3819 0.0713
O: 0.5588 0.4167 0.8924
O: 0.6592 0.9216 0.8673
O: 0.4347 0.5748 0.0968
O: 0.8355 0.4160 0.1264
O: 0.9380 0.9115 0.1000
O: 0.6703 0.8252 0.1167
O: 0.3374 0.0696 0.1254
O: 0.1684 0.6589 0.1152
O: 0.3233 0.1664 0.8752
O: 0.2791 0.8867 0.9199
O: 0.7807 0.6094 0.9214
O: 0.0571 0.0802 0.8948
O: 0.1554 0.5752 0.8652
O: 0.7151 0.1048 0.0721
Sr: 0.9568 0.8003 0.8588
Sr: 0.4613 0.8176 0.2305
Sr: 0.0383 0.1917 0.1349
Sr: 0.4594 0.6949 0.8624
Sr: 0.0274 0.3293 0.7523
Sr: 0.5316 0.1728 0.7610
Sr: 0.5341 0.2974 0.1276
Sr: 0.9656 0.6612 0.2390
I: 0.3363 0.8213 0.5071
I: 0.7979 0.6359 0.5051
I: 0.6501 0.1873 0.4833
I: 0.1948 0.3623 0.4860
Mg: 0.9939 0.9999 0.5012

## Properties
Symmetry = P1 (1)



(b)
A relaxed Sr8MgP4I4O16 crystal, computed with PBE.

a = 9.2263 Å, b = 8.9457 Å, c = 9.6117 Å
α = 90.53°, β = 111.72°, γ = 89.68°
Element x y z (fractional)
O: 0.6732 0.8339 0.1304
O: 0.2953 0.0908 0.1178
O: 0.0645 0.0703 0.8776
O: 0.8395 0.4296 0.1158
O: 0.9092 0.9154 0.0744
O: 0.7931 0.6196 0.9139
O: 0.8310 0.3345 0.8660
O: 0.3087 0.1765 0.8645
O: 0.3025 0.8970 0.9302
O: 0.6351 0.9339 0.8733
O: 0.7275 0.1146 0.0925
O: 0.1874 0.4041 0.0579
O: 0.1425 0.5849 0.8470
O: 0.5809 0.4330 0.8820
O: 0.1474 0.6858 0.0970
O: 0.3972 0.5995 0.0749
I: 0.8032 0.6044 0.4956
I: 0.7344 0.0505 0.5461
I: 0.1656 0.3112 0.4629
I: 0.2903 0.8236 0.5003
Sr: 0.9527 0.8035 0.8392
Sr: 0.4698 0.6992 0.8636
Sr: 0.9582 0.6797 0.2229
Sr: 0.0101 0.1881 0.0964
Sr: 0.7542 0.2910 0.2948
Sr: 0.5228 0.1808 0.7699
Sr: 0.4423 0.8385 0.2229
Sr: 0.0391 0.3301 0.7536
P: 0.7328 0.9492 0.0438
P: 0.7602 0.4554 0.9411
P: 0.2199 0.5686 0.0208
P: 0.2475 0.0572 0.9443
Mg: 0.3901 0.3028 0.2021

## Properties
Symmetry = P1 (1)



Which is most stable? The ranking, best first, is (a), (b).



(a)
A relaxed Ca2Ni10H crystal, computed with PBE.

a = 4.9273 Å, b = 5.0326 Å, c = 7.8075 Å
α = 90.00°, β = 90.00°, γ = 119.24°
Element x y z (fractional)
Ni: 0.5000 0.0000 0.7566
Ni: 0.3425 0.6849 0.5000
Ni: 0.5000 0.5000 0.7437
Ni: 0.5000 0.0000 0.2434
Ni: 0.3143 0.6285 0.0000
Ni: 0.6575 0.3151 0.5000
Ni: 0.6857 0.3715 0.0000
Ni: 0.0000 0.5000 0.2563
Ni: 0.0000 0.5000 0.7437
Ni: 0.5000 0.5000 0.2563
Ca: 0.0000 0.0000 0.0000
Ca: 0.0000 0.0000 0.5000
H: 0.5000 0.0000 0.0000

## Properties
Symmetry = Cmmm (65)



(b)
A relaxed Ca2Ni10H crystal, computed with PBE.

a = 4.9299 Å, b = 4.9487 Å, c = 7.8709 Å
α = 90.00°, β = 89.99°, γ = 120.06°
Element x y z (fractional)
Ni: 0.6690 0.3346 0.4980
Ni: 0.5011 0.0002 0.2494
Ni: 0.5002 0.4954 0.7495
Ni: 0.5011 0.5008 0.2494
Ni: 0.5005 0.0047 0.7495
Ni: 0.3290 0.6644 0.0007
Ni: 0.0008 0.5004 0.2494
Ni: 0.6690 0.3346 0.0009
Ni: 0.3289 0.6644 0.4982
Ni: 0.0041 0.5022 0.7495
H: 0.7214 0.8605 0.7500
Ca: 0.0015 0.0008 0.0086
Ca: 0.0014 0.0008 0.4909

## Properties
Symmetry = Amm2 (38)



Which is most stable? The ranking, best first, is (a), (b).